A relaxed structure of Nb2VZn2O8, computed with PBE with a Hubbard U.

a = 10.208 Å, b = 10.208 Å, c = 5.313 Å
α = 89.68°, β = 89.68°, γ = 33.96°
Element x y z (fractional)
O 0.432 0.685 0.095
Nb 0.275 0.957 0.235
Nb 0.725 0.043 0.765
O 0.283 0.074 0.935
O 0.685 0.432 0.595
O 0.568 0.315 0.905
Zn 0.127 0.435 0.768
O 0.814 0.045 0.427
O 0.452 0.159 0.636
Nb 0.043 0.725 0.265
O 0.159 0.452 0.136
O 0.315 0.568 0.405
O 0.045 0.814 0.927
O 0.186 0.955 0.573
Zn 0.435 0.127 0.268
Nb 0.957 0.275 0.735
O 0.841 0.548 0.864
V 0.647 0.353 0.250
O 0.717 0.926 0.065
Zn 0.873 0.565 0.232
V 0.353 0.647 0.750
O 0.926 0.717 0.565
O 0.074 0.283 0.435
Zn 0.565 0.873 0.732
O 0.955 0.186 0.073
O 0.548 0.841 0.364

Values from the calculation:
Raw total energy ... -194.088 eV for the cell shown
Energy relative to the elements ... -2.527 eV per atom

---

A relaxed structure of Nb12WO33, computed with PBE with a Hubbard U.

a = 11.560 Å, b = 11.560 Å, c = 18.175 Å
α = 57.09°, β = 57.09°, γ = 19.27°
Element x y z (fractional)
O 0.474 0.475 0.675
O 0.565 0.577 0.988
W 0.754 0.246 0.000
Nb 0.418 0.418 0.619
O 0.353 0.352 0.575
O 0.181 0.182 0.821
O 0.850 0.853 0.992
O 0.049 0.048 0.730
Nb 0.582 0.582 0.381
O 0.818 0.819 0.179
Nb 0.136 0.127 0.767
O 0.525 0.526 0.325
O 0.968 0.959 0.100
Nb 0.701 0.701 0.473
O 0.379 0.379 0.405
O 0.223 0.223 0.478
O 0.724 0.725 0.897
O 0.621 0.621 0.595
O 0.500 0.500 0.500
O 0.147 0.150 0.008
O 0.777 0.777 0.522
Nb 0.873 0.864 0.233
Nb 0.535 0.535 0.713
Nb 0.363 0.372 0.954
O 0.451 0.450 0.845
O 0.695 0.695 0.083
Nb 0.299 0.299 0.527
O 0.394 0.392 0.234
O 0.952 0.951 0.270
O 0.423 0.435 0.012
Nb 0.465 0.465 0.287
Nb 0.249 0.249 0.862
O 0.792 0.793 0.349
O 0.326 0.326 0.750
O 0.608 0.606 0.766
O 0.648 0.647 0.425
Nb 0.751 0.751 0.138
O 0.041 0.032 0.900
O 0.305 0.305 0.917
O 0.275 0.276 0.103
O 0.207 0.208 0.651
O 0.674 0.674 0.250
O 0.088 0.088 0.373
Nb 0.628 0.637 0.046
O 0.912 0.912 0.627
O 0.550 0.549 0.155

Values from the calculation:
Raw total energy ... -406.223 eV for the cell shown
Energy relative to the elements ... -2.954 eV per atom

---

A relaxed structure of NbWO7, computed with PBE with a Hubbard U.

a = 7.477 Å, b = 7.477 Å, c = 7.477 Å
α = 120.53°, β = 119.59°, γ = 89.90°
Element x y z (fractional)
O 0.198 0.441 0.384
Nb 0.500 0.499 0.999
W 0.500 0.499 0.499
O 0.849 0.044 0.695
O 0.190 0.440 0.750
O 0.802 0.186 0.243
O 0.810 0.561 0.250
O 0.443 0.186 0.884
O 0.443 0.561 0.259
W 0.500 0.999 0.999
O 0.151 0.847 0.195
O 0.198 0.816 0.759
O 0.557 0.441 0.743
O 0.557 0.808 0.751
Nb 0.000 0.499 0.499
O 0.443 0.194 0.251
O 0.557 0.816 0.118
O 0.802 0.561 0.618

Values from the calculation:
Raw total energy ... -129.049 eV for the cell shown
Energy relative to the elements ... -1.786 eV per atom

---

A relaxed structure of Nb12WO33, computed with PBE with a Hubbard U.

a = 3.873 Å, b = 11.563 Å, c = 15.351 Å
α = 83.63°, β = 82.78°, γ = 80.45°
Element x y z (fractional)
Nb 0.878 0.032 0.232
O 0.825 0.184 0.178
Nb 0.297 0.876 0.527
O 0.608 0.020 0.766
O 0.181 0.816 0.821
O 0.327 0.598 0.749
O 0.204 0.935 0.650
O 0.648 0.279 0.422
O 0.302 0.474 0.917
Nb 0.700 0.125 0.472
O 0.221 0.077 0.480
O 0.698 0.526 0.082
O 0.051 0.173 0.729
O 0.568 0.870 0.988
Nb 0.364 0.311 0.954
Nb 0.754 0.361 0.137
O 0.353 0.720 0.574
O 0.454 0.254 0.844
O 0.678 0.402 0.250
O 0.952 0.828 0.271
W 0.754 0.000 0.000
Nb 0.249 0.639 0.861
O 0.776 0.924 0.519
O 0.528 0.625 0.325
Nb 0.536 0.217 0.712
Nb 0.137 0.969 0.767
O 0.913 0.549 0.626
O 0.398 0.980 0.233
O 0.473 0.376 0.676
O 0.375 0.839 0.404
O 0.148 0.692 0.009
O 0.622 0.164 0.595
O 0.039 0.028 0.900
Nb 0.560 0.454 0.380
O 0.277 0.347 0.103
O 0.088 0.452 0.372
Nb 0.423 0.545 0.618
O 0.424 0.130 0.012
O 0.795 0.065 0.349
Nb 0.626 0.689 0.046
O 0.503 0.496 0.500
O 0.968 0.972 0.100
O 0.546 0.745 0.155
O 0.724 0.653 0.895
O 0.851 0.307 0.991
Nb 0.467 0.784 0.288

Values from the calculation:
Raw total energy ... -406.257 eV for the cell shown
Energy relative to the elements ... -2.955 eV per atom

---

A relaxed structure of NdNi2O4, computed with PBE with a Hubbard U.

a = 6.031 Å, b = 5.578 Å, c = 6.512 Å
α = 90.00°, β = 117.58°, γ = 90.00°
Element x y z (fractional)
O 0.333 0.757 0.667
Nd 0.000 0.000 0.000
O 0.353 0.750 0.207
O 0.147 0.250 0.793
Ni 0.188 0.593 0.376
O 0.167 0.257 0.333
O 0.647 0.250 0.793
Ni 0.812 0.407 0.624
Ni 0.688 0.907 0.376
O 0.833 0.743 0.667
O 0.853 0.750 0.207
O 0.667 0.243 0.333
Ni 0.312 0.093 0.624
Nd 0.500 0.500 0.000

Values from the calculation:
Raw total energy ... -82.110 eV for the cell shown
Energy relative to the elements ... -1.824 eV per atom

---

A relaxed structure of NdNiO2, computed with PBE with a Hubbard U.

a = 3.962 Å, b = 3.962 Å, c = 3.268 Å
α = 90.00°, β = 90.00°, γ = 90.00°
Element x y z (fractional)
Ni 0.000 0.000 0.000
O 0.000 0.500 0.000
O 0.500 0.000 0.000
Nd 0.500 0.500 0.500

Values from the calculation:
Raw total energy ... -25.666 eV for the cell shown
Energy relative to the elements ... -2.284 eV per atom

---

A relaxed structure of NdSmNi4O12, computed with PBE with a Hubbard U.

a = 5.329 Å, b = 5.329 Å, c = 7.554 Å
α = 90.00°, β = 90.00°, γ = 90.00°
Element x y z (fractional)
Sm 0.000 0.000 0.000
O 0.249 0.249 0.250
O 0.751 0.249 0.250
O 0.000 0.500 0.000
O 0.751 0.751 0.750
Ni 0.500 0.000 0.750
O 0.249 0.751 0.750
Nd 0.500 0.500 0.500
O 0.000 0.500 0.500
O 0.249 0.751 0.250
Ni 0.500 0.000 0.250
O 0.751 0.751 0.250
O 0.500 0.000 0.000
Ni 0.000 0.500 0.250
O 0.249 0.249 0.750
O 0.500 0.000 0.500
O 0.751 0.249 0.750
Ni 0.000 0.500 0.750

Values from the calculation:
Raw total energy ... -95.808 eV for the cell shown
Energy relative to the elements ... -1.235 eV per atom

---

A relaxed structure of SrNd3Ni2O8, computed with PBE with a Hubbard U.

a = 6.824 Å, b = 6.824 Å, c = 5.396 Å
α = 90.00°, β = 90.00°, γ = 133.70°
Element x y z (fractional)
Sr 0.857 0.143 0.500
O 0.254 0.245 0.240
O 0.254 0.245 0.760
Ni 0.997 0.003 0.000
O 0.755 0.746 0.760
Ni 0.497 0.503 0.500
O 0.755 0.746 0.240
Nd 0.639 0.361 0.000
O 0.179 0.821 0.000
Nd 0.363 0.637 0.000
O 0.324 0.676 0.500
O 0.824 0.176 0.000
Nd 0.137 0.863 0.500
O 0.664 0.336 0.500

Values from the calculation:
Raw total energy ... -95.985 eV for the cell shown
Energy relative to the elements ... -2.816 eV per atom